(1)
Computed, not measured: Sn3N4 after structural relaxation at the PBE-GGA level of DFT.

Results
Calculated formation energy: 0.0131 eV per atom

Cell and atoms, written as extended XYZ:
```
14
Lattice="0.000 4.571 4.571 4.571 0.000 4.571 4.571 4.571 0.000" Properties=species:S:1:pos:R:3 pbc="T T T"
Sn 1.143 1.143 1.143
Sn 1.143 3.428 3.428
Sn 3.428 3.428 1.143
Sn 3.428 1.143 3.428
Sn 6.857 6.857 6.857
Sn 4.571 4.571 4.571
N 5.631 8.083 5.631
N 5.797 5.797 3.346
N 3.346 3.346 3.346
N 3.346 5.797 5.797
N 8.083 8.083 8.083
N 8.083 5.631 5.631
N 5.797 3.346 5.797
N 5.631 5.631 8.083
```

=====

(2)
Computed, not measured: Sn3N after structural relaxation at the PBE-GGA level of DFT.

Results
Size of the total moment: 0.00 μB/f.u.
Calculated formation energy: 0.9211 eV per atom

Cell and atoms, written as extended XYZ:
```
8
Lattice="-1.158 4.166 4.396 -1.932 -5.816 0.678 4.569 -1.240 2.378" Properties=species:S:1:pos:R:3 pbc="T T T"
Sn 0.281 -1.591 1.582
Sn -1.218 -2.392 4.044
Sn -0.657 -4.413 1.911
Sn 1.199 -1.300 5.871
Sn 2.698 -0.499 3.409
Sn 2.136 1.523 5.542
N 1.753 -3.419 3.701
N -0.273 0.528 3.751
```

=====

(3)
Computed, not measured: Sr4SnN4 after structural relaxation at the PBE-GGA level of DFT.

Results
Size of the total moment: 0.83 μB/f.u.
Calculated formation energy: -0.6041 eV per atom
Relative energy among the computed polymorphs: 81.1 meV per atom

Cell and atoms, written as extended XYZ:
```
36
Lattice="-5.708 -0.001 11.788 2.939 -2.015 1.423 8.113 14.608 3.930" Properties=species:S:1:pos:R:3 pbc="T T T"
Sr 4.925 12.684 10.376
Sr 5.300 8.220 3.281
Sr 0.419 -0.092 6.765
Sr 0.045 4.372 13.860
Sr 0.955 6.318 9.563
Sr 0.286 -0.023 1.963
Sr 4.390 6.273 7.577
Sr 5.058 12.615 15.177
Sr 2.132 10.506 13.062
Sr 4.925 10.397 7.138
Sr 3.213 2.086 4.079
Sr 0.420 2.194 10.003
Sr -3.151 1.914 11.808
Sr 1.072 4.380 6.577
Sr 8.496 10.677 5.333
Sr 4.273 8.211 10.564
Sn -2.552 0.596 8.703
Sn 3.136 5.699 4.181
Sn 7.897 11.996 8.438
Sn 2.209 6.892 12.959
N 0.728 2.497 4.621
N -1.404 3.798 10.865
N 4.617 10.094 12.520
N 6.748 8.794 6.276
N 8.167 12.965 4.079
N 2.522 7.939 8.621
N -2.822 -0.373 13.062
N 2.823 4.653 8.520
N -1.715 4.170 12.036
N 0.002 2.125 5.592
N 7.060 8.421 5.104
N 5.343 10.467 11.549
N 2.336 12.088 14.882
N 3.371 8.815 8.107
N 3.009 0.503 2.259
N 1.974 3.777 9.034
```

=====

(4)
Computed, not measured: Sr7SnN6 after structural relaxation at the PBE-GGA level of DFT.

Results
Size of the total moment: 0.00 μB/f.u.
Calculated formation energy: -0.6680 eV per atom

Cell and atoms, written as extended XYZ:
```
56
Lattice="-0.332 -6.607 9.996 5.370 -3.450 -2.102 8.472 9.277 6.413" Properties=species:S:1:pos:R:3 pbc="T T T"
Sr 12.220 6.354 5.119
Sr 8.065 -1.258 6.109
Sr 4.116 -6.029 3.853
Sr 7.987 -4.079 11.430
Sr 1.289 -7.135 9.187
Sr 5.444 0.478 8.197
Sr 9.393 5.248 10.454
Sr 5.523 3.298 2.877
Sr 9.765 1.389 4.577
Sr 4.530 -2.853 2.117
Sr 6.441 -3.657 8.318
Sr 11.652 0.109 11.498
Sr 3.744 -2.170 9.730
Sr 8.979 2.072 12.189
Sr 7.069 2.877 5.988
Sr 1.857 -0.889 2.808
Sr 10.633 4.214 7.274
Sr 7.994 -0.936 2.698
Sr 5.537 -7.219 6.735
Sr 8.226 -1.072 9.803
Sr 2.877 -4.995 7.032
Sr 5.516 0.155 11.608
Sr 7.973 6.438 7.571
Sr 5.284 0.291 4.504
Sr 8.753 5.416 3.870
Sr 2.238 -1.168 6.489
Sr 5.088 0.411 0.440
Sr 11.272 0.387 7.817
Sn 11.425 3.699 2.824
Sn 4.936 -2.902 5.433
Sn 2.417 2.127 1.486
Sn 8.574 2.121 8.873
N 10.795 3.951 4.845
N 6.414 -2.224 4.054
N 5.479 -4.878 6.021
N 9.702 -1.861 11.590
N 2.714 -4.732 9.461
N 7.096 1.443 10.252
N 8.031 4.097 8.286
N 3.808 1.080 2.716
N 7.411 1.562 3.622
N 4.801 -5.307 1.495
N 8.841 -2.919 7.895
N 11.336 1.652 13.499
N 6.098 -2.343 10.685
N 8.709 4.526 12.811
N 4.669 2.138 6.412
N 2.174 -2.432 0.808
N 8.700 0.947 7.125
N 5.869 -2.111 -0.224
N 7.374 -5.859 9.770
N 10.446 2.011 9.839
N 4.810 -1.728 7.181
N 7.641 1.330 14.530
N 6.136 5.078 4.536
N 3.063 -2.791 4.467
```

=====

(5)
Computed, not measured: Sr5Sn2N6 after structural relaxation at the PBE-GGA level of DFT.

Results
Size of the total moment: 0.00 μB/f.u.
Calculated formation energy: -0.5961 eV per atom

Cell and atoms, written as extended XYZ:
```
26
Lattice="-1.337 2.133 5.946 -4.475 -3.777 -3.660 6.894 -11.553 3.492" Properties=species:S:1:pos:R:3 pbc="T T T"
Sr 3.308 -14.269 1.189
Sr -0.823 -6.429 4.663
Sr -2.225 1.073 4.590
Sr 1.906 -6.767 1.115
Sr 4.316 -7.785 4.202
Sr 1.207 -10.349 4.134
Sr -3.233 -5.410 1.576
Sr -0.124 -2.847 1.644
Sr 3.524 -10.055 1.271
Sr -1.104 -5.274 -1.440
Sn -0.746 -8.763 2.115
Sn 4.366 -10.977 4.665
Sn 1.829 -4.433 3.663
Sn -3.283 -2.218 1.113
N -1.250 -8.911 4.100
N 5.705 -10.124 3.362
N 2.333 -4.284 1.678
N -4.622 -3.071 2.416
N 1.120 -9.470 1.546
N 3.175 -9.701 5.785
N -0.037 -3.726 4.232
N -2.092 -3.495 -0.007
N 2.152 -6.203 4.825
N 3.103 -12.157 3.292
N -1.069 -6.992 0.953
N -2.020 -1.039 2.486
```

=====

(6)
Computed, not measured: Sr12Sn4N3 after structural relaxation at the PBE-GGA level of DFT.

Results
Calculated formation energy: -0.6691 eV per atom

Cell and atoms, written as extended XYZ:
```
19
Lattice="5.289 0.000 0.000 0.000 5.289 0.000 0.000 0.000 21.079" Properties=species:S:1:pos:R:3 pbc="T T T"
Sr 2.644 2.644 18.256
Sr 2.644 2.644 2.823
Sr 2.644 2.644 7.929
Sr 2.644 2.644 13.150
Sr 2.644 0.000 0.000
Sr 2.644 0.000 5.304
Sr 2.644 0.000 10.539
Sr 2.644 0.000 15.775
Sr 0.000 2.644 0.000
Sr 0.000 2.644 5.304
Sr 0.000 2.644 10.539
Sr 0.000 2.644 15.775
Sn 0.000 0.000 18.579
Sn 0.000 0.000 2.500
Sn 0.000 0.000 7.893
Sn 0.000 0.000 13.186
N 2.644 2.644 5.212
N 2.644 2.644 10.539
N 2.644 2.644 15.867
```

=====

(7)
Computed, not measured: SrSnN2 after structural relaxation at the PBE-GGA level of DFT.

Results
Size of the total moment: 0.00 μB/f.u.
Calculated formation energy: -0.4582 eV per atom

Cell and atoms, written as extended XYZ:
```
16
Lattice="-3.371 0.938 -5.784 -2.965 -6.924 0.605 -3.753 2.002 4.523" Properties=species:S:1:pos:R:3 pbc="T T T"
Sr -6.412 -4.469 1.594
Sr -6.394 -0.476 0.182
Sr -3.677 0.485 -2.251
Sr -3.695 -3.508 -0.838
Sn -3.780 -1.102 2.155
Sn -8.795 -3.303 -0.426
Sn -6.309 -2.882 -2.812
Sn -1.294 -0.681 -0.230
N -3.262 -5.943 -0.514
N -5.749 -0.906 -2.241
N -6.827 1.959 -0.143
N -4.340 -3.078 1.585
N -5.495 -0.053 2.766
N -6.892 -3.914 -1.075
N -4.594 -3.931 -3.422
N -3.197 -0.070 0.418
```

=====

(8)
Computed, not measured: Sr4SnN4 after structural relaxation at the PBE-GGA level of DFT.

Results
Size of the total moment: 0.00 μB/f.u.
Calculated formation energy: -0.6852 eV per atom
Relative energy among the computed polymorphs: 0.0 meV per atom

Cell and atoms, written as extended XYZ:
```
18
Lattice="6.472 0.024 -0.010 2.435 6.063 -0.005 1.774 2.612 9.107" Properties=species:S:1:pos:R:3 pbc="T T T"
Sr 6.706 3.978 1.593
Sr 3.976 4.721 7.499
Sr 7.101 3.976 8.928
Sr 3.581 4.723 0.164
Sr 6.918 4.466 5.176
Sr 3.764 4.233 3.915
Sr 4.908 7.389 5.513
Sr 5.774 1.310 3.579
Sn 8.037 7.137 6.880
Sn 2.645 1.562 2.212
N 9.125 5.858 5.528
N 1.556 2.841 3.564
N 9.446 7.489 8.422
N 1.236 1.210 0.670
N 6.288 5.936 7.329
N 4.394 2.763 1.763
N 5.844 5.947 3.334
N 4.837 2.752 5.758
```

=====

(9)
Computed, not measured: SrSnN2 after structural relaxation at the PBE-GGA level of DFT.

Results
Size of the total moment: 0.00 μB/f.u.
Calculated formation energy: -0.4216 eV per atom

Cell and atoms, written as extended XYZ:
```
8
Lattice="4.017 0.000 0.000 0.000 4.017 0.000 0.000 0.000 8.496" Properties=species:S:1:pos:R:3 pbc="T T T"
Sr 3.013 3.013 1.175
Sr 1.004 1.004 7.321
Sn 3.013 3.013 5.155
Sn 1.004 1.004 3.341
N 3.013 1.004 4.248
N 1.004 3.013 4.248
N 3.013 3.013 7.205
N 1.004 1.004 1.292
```

=====

(10)
Computed, not measured: Sr2SnN2 after structural relaxation at the PBE-GGA level of DFT.

Results
Size of the total moment: 0.00 μB/f.u.
Calculated formation energy: -0.5593 eV per atom

Cell and atoms, written as extended XYZ:
```
5
Lattice="0.000 -3.854 0.000 -3.855 0.000 0.000 1.927 1.927 -6.894" Properties=species:S:1:pos:R:3 pbc="T T T"
Sr -2.891 -2.891 -1.239
Sr 0.964 0.964 -5.655
Sn -0.964 -0.964 -3.447
N -0.964 -0.964 -1.345
N -0.964 -0.964 -5.549
```

=====

(11)
Computed, not measured: Zn7SnN6 after structural relaxation at the PBE-GGA level of DFT.

Results
Size of the total moment: 0.00 μB/f.u.
Calculated formation energy: 0.0188 eV per atom

Cell and atoms, written as extended XYZ:
```
56
Lattice="10.848 0.000 0.000 0.000 6.036 0.000 0.000 0.000 12.476" Properties=species:S:1:pos:R:3 pbc="T T T"
Zn 10.468 4.627 0.519
Zn 5.804 4.426 6.757
Zn 5.044 4.426 11.957
Zn 0.380 4.627 5.719
Zn 0.380 1.409 11.957
Zn 5.044 1.609 5.719
Zn 5.804 1.609 0.519
Zn 10.468 1.409 6.757
Zn 2.631 3.936 8.153
Zn 2.793 5.118 1.915
Zn 8.055 5.118 4.323
Zn 8.217 3.936 10.561
Zn 8.217 2.100 4.323
Zn 8.055 0.918 10.561
Zn 2.793 0.918 8.153
Zn 2.631 2.100 1.915
Zn 2.249 3.836 11.552
Zn 3.176 5.218 5.314
Zn 7.673 5.218 0.924
Zn 8.600 3.836 7.162
Zn 8.600 2.200 0.924
Zn 7.673 0.818 7.162
Zn 3.176 0.818 11.552
Zn 2.249 2.200 5.314
Zn 0.000 2.472 9.357
Zn 5.424 0.546 3.119
Zn 0.000 3.564 3.119
Zn 5.424 5.490 9.357
Sn 0.000 5.425 9.357
Sn 5.424 3.629 3.119
Sn 0.000 0.611 3.119
Sn 5.424 2.407 9.357
N 1.444 3.956 9.753
N 3.980 5.098 3.515
N 6.868 5.098 2.723
N 9.404 3.956 8.961
N 9.404 2.080 2.723
N 6.868 0.938 8.961
N 3.980 0.938 9.753
N 1.444 2.080 3.515
N 1.990 3.920 6.292
N 3.434 5.134 0.054
N 7.414 5.134 6.184
N 8.858 3.920 12.422
N 8.858 2.116 6.184
N 7.414 0.902 12.422
N 3.434 0.902 6.292
N 1.990 2.116 0.054
N 4.633 3.920 8.119
N 0.791 5.134 1.881
N 10.057 5.134 4.357
N 6.215 3.920 10.595
N 6.215 2.116 4.357
N 10.057 0.902 10.595
N 0.791 0.902 8.119
N 4.633 2.116 1.881
```

=====

(12)
Computed, not measured: ZnSn2N2 after structural relaxation at the PBE-GGA level of DFT.

Results
Size of the total moment: 0.00 μB/f.u.
Calculated formation energy: 0.1124 eV per atom

Cell and atoms, written as extended XYZ:
```
5
Lattice="3.352 0.000 0.000 0.000 3.352 0.000 0.000 0.000 8.064" Properties=species:S:1:pos:R:3 pbc="T T T"
Zn 0.000 0.000 0.000
Sn 1.676 1.676 5.598
Sn 1.676 1.676 2.466
N 1.676 0.000 1.176
N 0.000 1.676 6.888
```

=====

(13)
Computed, not measured: Sr4N3 after structural relaxation at the PBE-GGA level of DFT.

Results
Size of the total moment: 1.04 μB/f.u.
Calculated formation energy: -0.5075 eV per atom
Relative energy among the computed polymorphs: 34.6 meV per atom

Cell and atoms, written as extended XYZ:
```
7
Lattice="1.924 3.344 0.000 -1.924 3.344 0.000 0.000 2.596 13.074" Properties=species:S:1:pos:R:3 pbc="T T T"
Sr 0.000 3.548 4.961
Sr 0.000 5.735 8.113
Sr 0.000 1.321 2.096
Sr 0.000 7.963 10.978
N 0.000 5.778 3.214
N 0.000 3.506 9.860
N 0.000 1.298 6.537
```

=====

(14)
Computed, not measured: Sr4N3 after structural relaxation at the PBE-GGA level of DFT.

Results
Size of the total moment: 1.00 μB/f.u.
Calculated formation energy: -0.4972 eV per atom
Relative energy among the computed polymorphs: 44.9 meV per atom

Cell and atoms, written as extended XYZ:
```
7
Lattice="-0.200 -3.679 -1.580 6.036 -1.055 1.855 -4.591 -1.313 4.554" Properties=species:S:1:pos:R:3 pbc="T T T"
Sr -4.010 -1.359 4.110
Sr -1.303 -3.488 3.791
Sr 3.466 -3.268 2.769
Sr 0.629 -4.663 1.317
N -1.735 -0.962 3.001
N 1.560 -2.320 0.871
N 1.164 -3.596 3.900
```

=====

(15)
Computed, not measured: Sr4N3 after structural relaxation at the PBE-GGA level of DFT.

Results
Size of the total moment: 1.00 μB/f.u.
Calculated formation energy: -0.5421 eV per atom
Relative energy among the computed polymorphs: 0.0 meV per atom

Cell and atoms, written as extended XYZ:
```
7
Lattice="1.958 6.805 0.000 -1.958 6.805 0.000 0.000 2.911 5.879" Properties=species:S:1:pos:R:3 pbc="T T T"
Sr 0.000 10.209 3.260
Sr 0.000 1.882 0.016
Sr 0.000 6.312 2.619
Sr 0.000 14.639 5.862
N 0.000 12.621 4.183
N 0.000 6.805 0.000
N 0.000 3.900 1.696
```